Li9Mn2Co5O16, relaxed, DFT r2SCAN; uncorrected energy = -8.5768 eV/atom; polymorph energy (0 for the lowest one) = 25.3 meV per atom; theoretical density = 4.68 g/cm³; calculated formation energy = -44.593 kcal/mol of atoms
1.0
-1.578 -4.341 3.202
5.169 -1.135 3.488
-2.668 3.612 6.029
Li Mn Co O
9 2 5 16
direct
0.820 0.606 0.137
0.940 0.883 0.375
0.686 0.368 0.879
0.567 0.134 0.615
0.426 0.891 0.367
0.307 0.606 0.138
0.190 0.371 0.887
0.063 0.139 0.604
0.126 0.254 0.254
0.998 0.005 0.007
0.378 0.747 0.748
0.249 0.499 0.497
0.498 0.001 0.001
0.624 0.249 0.251
0.753 0.499 0.497
0.876 0.749 0.749
0.719 0.951 0.174
0.830 0.206 0.432
0.594 0.701 0.921
0.465 0.458 0.678
0.353 0.206 0.432
0.220 0.936 0.167
0.094 0.702 0.923
0.968 0.459 0.672
0.902 0.292 0.063
0.025 0.562 0.332
0.784 0.042 0.827
0.652 0.800 0.578
0.533 0.543 0.325
0.421 0.292 0.067
0.279 0.045 0.826
0.159 0.801 0.577

=====

Ag2Se, relaxed, DFT r2SCAN; uncorrected energy = -19.0990 eV/atom; theoretical density = 7.87 g/cm³; calculated formation energy = -2.104 kcal/mol of atoms
1.0
-1.580 -1.383 -3.900
-1.334 -2.458 3.435
-2.608 7.935 1.250
Ag Se
4 2
direct
0.213 0.525 0.369
0.525 0.213 0.869
0.475 0.787 0.131
0.787 0.475 0.631
0.000 0.000 0.500
0.000 0.000 0.000

=====

V4O3F9, relaxed, DFT r2SCAN; uncorrected energy = -9.4438 eV/atom; polymorph energy (0 for the lowest one) = 1.3 meV per atom; theoretical density = 3.56 g/cm³; calculated formation energy = -70.178 kcal/mol of atoms
1.0
5.063 0.001 0.004
-2.491 -4.630 -0.028
-2.320 1.143 -16.820
V O F
8 6 18
direct
0.743 0.369 0.126
0.756 0.887 0.628
0.509 0.725 0.250
0.529 0.242 0.751
0.249 0.103 0.383
0.219 0.609 0.873
0.977 0.011 0.001
0.024 0.498 0.495
0.839 0.199 0.042
0.169 0.303 0.459
0.851 0.420 0.834
0.650 0.541 0.209
0.661 0.047 0.708
0.221 0.828 0.438
0.321 0.141 0.088
0.758 0.667 0.059
0.771 0.187 0.559
0.726 0.069 0.192
0.323 0.959 0.289
0.327 0.663 0.589
0.350 0.477 0.787
0.165 0.597 0.164
0.178 0.105 0.662
0.265 0.426 0.314
0.737 0.573 0.686
0.818 0.911 0.341
0.832 0.705 0.538
0.172 0.786 0.964
0.679 0.353 0.409
0.276 0.952 0.816
0.236 0.309 0.938
0.669 0.835 0.910

=====

CaMoF6, relaxed, DFT r2SCAN; uncorrected energy = -9.7260 eV/atom; theoretical density = 3.08 g/cm³; calculated formation energy = -74.778 kcal/mol of atoms
1.0
-4.905 -2.616 2.028
-0.523 -5.852 0.705
-0.346 -2.631 5.289
Ca Mo F
1 1 6
direct
0.500 0.500 0.500
0.000 0.000 0.000
0.865 0.227 0.673
0.227 0.673 0.865
0.327 0.135 0.773
0.773 0.327 0.135
0.135 0.773 0.327
0.673 0.865 0.227

=====

KPb, relaxed, DFT r2SCAN; uncorrected energy = -31.5139 eV/atom; theoretical density = 5.11 g/cm³; calculated formation energy = -8.352 kcal/mol of atoms
1.0
-1.705 4.779 -10.442
2.483 -10.153 -5.052
-9.570 0.251 8.131
K Pb
16 16
direct
0.619 0.250 0.500
0.750 0.619 0.000
0.250 0.881 0.000
0.881 0.750 0.500
0.381 0.750 0.500
0.250 0.381 0.000
0.750 0.119 0.000
0.119 0.250 0.500
0.498 0.248 0.750
0.002 0.498 0.250
0.248 0.252 0.250
0.252 0.002 0.750
0.502 0.752 0.250
0.998 0.502 0.750
0.752 0.748 0.750
0.748 0.998 0.250
0.129 0.698 0.133
0.564 0.495 0.367
0.802 0.371 0.367
0.495 0.802 0.867
0.371 0.564 0.867
0.936 0.129 0.633
0.698 0.005 0.633
0.005 0.936 0.133
0.871 0.302 0.867
0.436 0.505 0.633
0.198 0.629 0.633
0.505 0.198 0.133
0.629 0.436 0.133
0.064 0.871 0.367
0.302 0.995 0.367
0.995 0.064 0.867

=====

Sr2LiTaN3F, relaxed, DFT r2SCAN; uncorrected energy = -15.8184 eV/atom; theoretical density = 5.87 g/cm³; calculated formation energy = -42.560 kcal/mol of atoms
1.0
-5.319 -1.082 1.424
3.407 -7.237 7.226
0.653 11.363 11.073
Sr Li Ta N F
16 8 8 24 8
direct
0.782 0.869 0.715
0.218 0.631 0.215
0.718 0.369 0.285
0.282 0.131 0.785
0.218 0.131 0.285
0.782 0.369 0.785
0.282 0.631 0.715
0.718 0.869 0.215
0.707 0.051 0.415
0.293 0.449 0.915
0.793 0.551 0.585
0.207 0.949 0.085
0.293 0.949 0.585
0.707 0.551 0.085
0.207 0.449 0.415
0.793 0.051 0.915
0.211 0.166 0.479
0.789 0.334 0.979
0.289 0.666 0.521
0.711 0.834 0.021
0.789 0.834 0.521
0.211 0.666 0.021
0.711 0.334 0.479
0.289 0.166 0.979
0.834 0.155 0.634
0.166 0.345 0.134
0.666 0.655 0.366
0.334 0.845 0.866
0.166 0.845 0.366
0.834 0.655 0.866
0.334 0.345 0.634
0.666 0.155 0.134
0.806 0.118 0.751
0.194 0.382 0.251
0.694 0.618 0.249
0.306 0.882 0.749
0.194 0.882 0.249
0.806 0.618 0.749
0.306 0.382 0.751
0.694 0.118 0.251
0.749 0.006 0.575
0.251 0.494 0.075
0.751 0.506 0.425
0.249 0.994 0.925
0.251 0.994 0.425
0.749 0.506 0.925
0.249 0.494 0.575
0.751 0.006 0.075
0.178 0.180 0.611
0.822 0.320 0.111
0.322 0.680 0.389
0.678 0.820 0.889
0.822 0.820 0.389
0.178 0.680 0.889
0.678 0.320 0.611
0.322 0.180 0.111
0.960 0.245 0.419
0.040 0.255 0.919
0.540 0.745 0.581
0.460 0.755 0.081
0.040 0.755 0.581
0.960 0.745 0.081
0.460 0.255 0.419
0.540 0.245 0.919

=====

PaHgAu2, relaxed, DFT r2SCAN; uncorrected energy = -57.2020 eV/atom; theoretical density = 16.01 g/cm³; calculated formation energy = -8.153 kcal/mol of atoms
1.0
-3.906 -0.882 2.905
-4.568 0.104 -1.898
-2.564 -4.201 -0.510
Pa Hg Au
1 1 2
direct
0.750 0.750 0.750
0.250 0.250 0.250
0.500 0.500 0.500
0.000 0.000 0.000

=====

CsHg3, relaxed, DFT r2SCAN; uncorrected energy = -43.5442 eV/atom; theoretical density = 8.20 g/cm³; calculated formation energy = -5.562 kcal/mol of atoms
1.0
7.884 0.000 0.000
-3.942 6.828 0.000
0.000 0.000 5.528
Cs Hg
2 6
direct
0.333 0.667 0.750
0.667 0.333 0.250
0.137 0.274 0.250
0.726 0.863 0.250
0.137 0.863 0.250
0.863 0.726 0.750
0.274 0.137 0.750
0.863 0.137 0.750

=====

LiHoGe, relaxed, DFT r2SCAN; uncorrected energy = -17.1989 eV/atom; theoretical density = 6.80 g/cm³; calculated formation energy = -18.884 kcal/mol of atoms
1.0
7.007 0.000 0.000
-3.503 6.068 0.000
0.000 0.000 4.212
Li Ho Ge
3 3 3
direct
0.233 0.000 0.500
0.767 0.767 0.500
0.000 0.233 0.500
0.000 0.576 0.000
0.576 0.000 0.000
0.424 0.424 0.000
0.333 0.667 0.500
0.667 0.333 0.500
0.000 0.000 0.000

=====

NiP3, relaxed, DFT r2SCAN; uncorrected energy = -10.0604 eV/atom; theoretical density = 4.26 g/cm³; calculated formation energy = -7.228 kcal/mol of atoms
1.0
6.359 0.000 -2.248
-3.180 5.507 -2.248
0.000 0.000 6.745
Ni P
4 12
direct
0.500 0.000 0.000
0.000 0.000 0.500
0.000 0.500 0.000
0.500 0.500 0.500
0.502 0.858 0.644
0.214 0.858 0.356
0.786 0.142 0.644
0.142 0.356 0.498
0.498 0.142 0.356
0.142 0.644 0.786
0.356 0.214 0.858
0.858 0.644 0.502
0.644 0.786 0.142
0.858 0.356 0.214
0.644 0.502 0.858
0.356 0.498 0.142

=====

BaBi2Pd2, relaxed, DFT r2SCAN; uncorrected energy = -38.5531 eV/atom; theoretical density = 9.57 g/cm³; calculated formation energy = -15.407 kcal/mol of atoms
1.0
-4.284 -2.129 -1.120
-0.716 -1.081 4.797
-5.074 9.594 1.177
Ba Bi Pd
2 4 4
direct
0.750 0.743 0.241
0.250 0.257 0.759
0.750 0.782 0.881
0.250 0.752 0.499
0.750 0.248 0.501
0.250 0.218 0.119
0.250 0.249 0.376
0.250 0.698 0.999
0.750 0.751 0.624
0.750 0.302 0.001

=====

ErSiPd2, relaxed, DFT r2SCAN; uncorrected energy = -23.1780 eV/atom; theoretical density = 9.85 g/cm³; calculated formation energy = -23.590 kcal/mol of atoms
1.0
-4.480 0.977 2.997
1.764 -5.137 4.311
3.739 4.691 4.059
Er Si Pd
4 4 8
direct
0.143 0.750 0.472
0.643 0.250 0.028
0.857 0.250 0.528
0.357 0.750 0.972
0.858 0.750 0.122
0.358 0.250 0.378
0.142 0.250 0.878
0.642 0.750 0.622
0.907 0.948 0.822
0.407 0.052 0.678
0.093 0.448 0.178
0.593 0.552 0.322
0.093 0.052 0.178
0.593 0.948 0.322
0.907 0.552 0.822
0.407 0.448 0.678

=====

La2Ga12Pd, relaxed, DFT r2SCAN; uncorrected energy = -15.1607 eV/atom; theoretical density = 6.89 g/cm³; calculated formation energy = -11.757 kcal/mol of atoms
1.0
-5.683 1.376 -1.904
-2.347 -3.109 4.758
0.258 12.965 8.599
La Ga Pd
4 24 2
direct
0.000 0.500 0.755
0.000 0.500 0.245
0.500 0.000 0.755
0.500 0.000 0.245
0.250 0.250 0.913
0.750 0.750 0.913
0.303 0.803 0.426
0.197 0.697 0.574
0.250 0.750 0.913
0.803 0.697 0.426
0.000 0.000 0.661
0.697 0.197 0.426
0.303 0.197 0.574
0.000 0.000 0.819
0.500 0.500 0.339
0.803 0.303 0.574
0.697 0.803 0.574
0.000 0.000 0.181
0.750 0.750 0.087
0.500 0.500 0.661
0.750 0.250 0.913
0.250 0.250 0.087
0.250 0.750 0.087
0.500 0.500 0.181
0.197 0.303 0.426
0.500 0.500 0.819
0.750 0.250 0.087
0.000 0.000 0.339
0.000 0.500 0.000
0.500 0.000 0.000

=====

Er3Pb4F17, relaxed, DFT r2SCAN; uncorrected energy = -19.3850 eV/atom; theoretical density = 8.38 g/cm³; calculated formation energy = -81.847 kcal/mol of atoms
1.0
-2.466 -8.220 -2.761
4.492 -1.681 -7.628
6.790 -5.639 2.077
Er Pb F
6 8 34
direct
0.532 0.390 0.840
0.389 0.842 0.532
0.818 0.527 0.393
0.158 0.469 0.611
0.608 0.183 0.464
0.475 0.603 0.175
0.099 0.699 0.962
0.732 0.741 0.737
0.943 0.113 0.684
0.304 0.044 0.898
0.682 0.952 0.113
0.041 0.894 0.310
0.259 0.268 0.264
0.891 0.315 0.050
0.011 0.987 0.009
0.858 0.868 0.863
0.544 0.821 0.981
0.643 0.512 0.954
0.979 0.549 0.823
0.743 0.208 0.925
0.209 0.919 0.742
0.507 0.964 0.642
0.456 0.650 0.735
0.818 0.981 0.548
0.745 0.445 0.656
0.304 0.405 0.789
0.951 0.642 0.512
0.603 0.203 0.701
0.650 0.745 0.453
0.076 0.258 0.791
0.210 0.699 0.586
0.829 0.277 0.396
0.561 0.472 0.446
0.914 0.740 0.219
0.346 0.263 0.545
0.417 0.797 0.299
0.040 0.359 0.490
0.720 0.597 0.176
0.261 0.543 0.351
0.176 0.023 0.454
0.556 0.337 0.236
0.489 0.048 0.359
0.788 0.077 0.259
0.262 0.783 0.090
0.021 0.455 0.180
0.357 0.492 0.043
0.451 0.177 0.021
0.137 0.140 0.138

=====

CuH, relaxed, DFT r2SCAN; uncorrected energy = -7.0358 eV/atom; theoretical density = 6.81 g/cm³; calculated formation energy = 2.656 kcal/mol of atoms
1.0
-0.959 1.867 -1.889
-1.703 -2.036 0.963
-1.352 2.734 3.388
Cu H
2 2
direct
0.667 0.333 0.498
0.333 0.667 0.998
0.667 0.333 0.877
0.333 0.667 0.377